Material: Li2GaCu3
Method: DFT, r2SCAN
State: optimized geometry

a = 4.867 Å, b = 4.867 Å, c = 4.867 Å
α = 60.83°, β = 60.83°, γ = 60.83°
Fractional positions:
Li1 0.625 0.625 0.625
Li2 0.375 0.375 0.375
Ga1 0.000 0.000 0.000
Cu1 0.000 0.500 0.000
Cu2 0.500 0.000 0.000
Cu3 0.000 0.000 0.500

## Properties
Formation energy   -0.181 eV/atom



Material: Mg2Ga5Cu6
Method: DFT, r2SCAN
State: optimized geometry

a = 8.199 Å, b = 8.199 Å, c = 8.199 Å
α = 90.00°, β = 90.00°, γ = 90.00°
Fractional positions:
Mg1 0.819 0.000 0.500
Mg2 0.000 0.500 0.819
Mg3 0.500 0.819 0.000
Mg4 0.000 0.500 0.181
Mg5 0.500 0.181 0.000
Mg6 0.181 0.000 0.500
Ga1 0.282 0.718 0.282
Ga2 0.718 0.282 0.282
Ga3 0.282 0.282 0.718
Ga4 0.718 0.718 0.718
Ga5 0.718 0.282 0.718
Ga6 0.282 0.718 0.718
Ga7 0.718 0.718 0.282
Ga8 0.282 0.282 0.282
Ga9 0.664 0.500 0.000
Ga10 0.500 0.000 0.664
Ga11 0.000 0.664 0.500
Ga12 0.500 0.000 0.336
Ga13 0.000 0.336 0.500
Ga14 0.336 0.500 0.000
Ga15 0.000 0.000 0.000
Cu1 0.000 0.836 0.257
Cu2 0.000 0.164 0.743
Cu3 0.000 0.836 0.743
Cu4 0.164 0.743 0.000
Cu5 0.743 0.000 0.836
Cu6 0.743 0.000 0.164
Cu7 0.836 0.257 0.000
Cu8 0.257 0.000 0.836
Cu9 0.836 0.743 0.000
Cu10 0.275 0.500 0.500
Cu11 0.500 0.275 0.500
Cu12 0.500 0.500 0.275
Cu13 0.500 0.725 0.500
Cu14 0.500 0.500 0.725
Cu15 0.725 0.500 0.500
Cu16 0.000 0.164 0.257
Cu17 0.257 0.000 0.164
Cu18 0.164 0.257 0.000

## Properties
Formation energy   -0.190 eV/atom



Material: MgGaCu
Method: DFT, r2SCAN
State: optimized geometry

a = 5.086 Å, b = 5.086 Å, c = 8.204 Å
α = 90.00°, β = 90.00°, γ = 119.15°
Fractional positions:
Mg1 0.668 0.332 0.320
Mg2 0.337 0.663 0.203
Mg3 0.337 0.663 0.797
Mg4 0.668 0.332 0.680
Ga1 0.162 0.838 0.500
Ga2 0.337 0.166 0.000
Ga3 0.834 0.663 0.000
Ga4 0.832 0.168 0.000
Cu1 0.999 0.001 0.249
Cu2 0.999 0.001 0.751
Cu3 0.659 0.835 0.500
Cu4 0.165 0.341 0.500

## Properties
Formation energy   -0.171 eV/atom



Material: Mn2GaCu3
Method: DFT, r2SCAN
State: optimized geometry

a = 4.887 Å, b = 4.887 Å, c = 7.817 Å
α = 90.00°, β = 90.00°, γ = 120.00°
Fractional positions:
Mn1 0.333 0.667 0.438
Mn2 0.667 0.333 0.562
Mn3 0.667 0.333 0.938
Mn4 0.333 0.667 0.062
Ga1 0.000 0.000 0.500
Ga2 0.000 0.000 0.000
Cu1 0.829 0.171 0.250
Cu2 0.829 0.657 0.250
Cu3 0.343 0.171 0.250
Cu4 0.171 0.829 0.750
Cu5 0.171 0.343 0.750
Cu6 0.657 0.829 0.750

## Properties
Formation energy   -0.165 eV/atom



Material: NdGa2Cu2
Method: DFT, r2SCAN
State: optimized geometry

a = 5.933 Å, b = 5.933 Å, c = 5.933 Å
α = 139.24°, β = 139.24°, γ = 59.00°
Fractional positions:
Nd1 0.000 0.000 0.000
Ga1 0.750 0.250 0.500
Ga2 0.250 0.750 0.500
Cu1 0.382 0.382 0.000
Cu2 0.618 0.618 0.000

## Properties
Formation energy   -0.451 eV/atom



Material: GaCuO2
Method: DFT, r2SCAN
State: optimized geometry

a = 2.972 Å, b = 2.972 Å, c = 11.449 Å
α = 90.00°, β = 90.00°, γ = 120.00°
Fractional positions:
Ga1 0.000 0.000 0.000
Ga2 0.000 0.000 0.500
Cu1 0.667 0.333 0.750
Cu2 0.333 0.667 0.250
O1 0.333 0.667 0.412
O2 0.667 0.333 0.912
O3 0.333 0.667 0.088
O4 0.667 0.333 0.588

## Properties
Formation energy   -1.520 eV/atom



Material: GaCuO2
Method: DFT, r2SCAN
State: optimized geometry

a = 5.980 Å, b = 5.980 Å, c = 5.980 Å
α = 28.77°, β = 28.77°, γ = 28.77°
Fractional positions:
Ga1 0.500 0.500 0.500
Cu1 0.000 0.000 0.000
O1 0.892 0.892 0.892
O2 0.108 0.108 0.108

## Properties
Formation energy   -1.520 eV/atom



Material: PaGaCu2
Method: DFT, r2SCAN
State: optimized geometry

a = 4.558 Å, b = 4.558 Å, c = 4.557 Å
α = 60.00°, β = 60.00°, γ = 60.00°
Fractional positions:
Pa1 0.750 0.750 0.750
Ga1 0.250 0.250 0.250
Cu1 0.500 0.500 0.500
Cu2 0.000 0.000 0.000

## Properties
Formation energy   -0.138 eV/atom



Material: Pm2GaCu
Method: DFT, r2SCAN
State: optimized geometry

a = 5.115 Å, b = 5.115 Å, c = 5.115 Å
α = 60.00°, β = 60.00°, γ = 60.00°
Fractional positions:
Pm1 0.250 0.250 0.250
Pm2 0.750 0.750 0.750
Ga1 0.000 0.000 0.000
Cu1 0.500 0.500 0.500

## Properties
Formation energy   -0.395 eV/atom



Material: GaCuS2
Method: DFT, r2SCAN
State: optimized geometry

a = 5.314 Å, b = 5.314 Å, c = 6.465 Å
α = 114.27°, β = 114.27°, γ = 90.00°
Fractional positions:
Ga1 0.500 0.500 0.000
Ga2 0.750 0.250 0.500
Cu1 0.250 0.750 0.500
Cu2 0.000 0.000 0.000
S1 0.875 0.875 0.250
S2 0.625 0.125 0.750
S3 0.375 0.375 0.250
S4 0.125 0.625 0.750

## Properties
Formation energy   -0.699 eV/atom



Material: GaCuSe2
Method: DFT, r2SCAN
State: optimized geometry

a = 5.603 Å, b = 5.603 Å, c = 6.823 Å
α = 114.24°, β = 114.24°, γ = 90.00°
Fractional positions:
Ga1 0.500 0.500 0.000
Ga2 0.750 0.250 0.500
Cu1 0.000 0.000 0.000
Cu2 0.250 0.750 0.500
Se1 0.371 0.375 0.250
Se2 0.125 0.629 0.750
Se3 0.625 0.121 0.750
Se4 0.879 0.875 0.250

## Properties
Formation energy   -0.574 eV/atom



Material: SmGa3Cu
Method: DFT, r2SCAN
State: optimized geometry

a = 6.041 Å, b = 6.041 Å, c = 6.041 Å
α = 140.16°, β = 140.16°, γ = 57.61°
Fractional positions:
Sm1 0.000 0.000 0.000
Ga1 0.616 0.616 0.000
Ga2 0.384 0.384 0.000
Ga3 0.750 0.250 0.500
Cu1 0.250 0.750 0.500

## Properties
Formation energy   -0.567 eV/atom